# SmSbRh

SmSbRh after structural relaxation (PBE-GGA, the Materials Project database).

Lattice parameters (Å, degrees): 4.6281 7.3490 7.8829 90.00 90.00 90.00
Closest atoms and distances in Å follow each position.
Sites, in units of the cell vectors:
Sm 0.2500 0.5140 0.1978  6 Rh 3.08-3.41, 6 Sb 3.21-3.34
Sm 0.7500 0.4860 0.8022  6 Rh 3.08-3.41, 6 Sb 3.21-3.34
Sm 0.7500 0.9860 0.6978  6 Rh 3.08-3.41, 6 Sb 3.21-3.34
Sm 0.2500 0.0140 0.3022  6 Rh 3.08-3.41, 6 Sb 3.21-3.34
Sb 0.2500 0.6865 0.5897  4 Rh 2.69-2.82
Sb 0.7500 0.3135 0.4103  4 Rh 2.69-2.82
Sb 0.7500 0.8135 0.0897  4 Rh 2.69-2.82
Sb 0.2500 0.1865 0.9103  4 Rh 2.69-2.82
Rh 0.2500 0.8034 0.9160  4 Sb 2.69-2.82
Rh 0.7500 0.1966 0.0840  4 Sb 2.69-2.82
Rh 0.7500 0.6966 0.4160  4 Sb 2.69-2.82
Rh 0.2500 0.3034 0.5840  4 Sb 2.69-2.82

Computed properties:
Crystal system ... orthorhombic
Symmetry ... Pnma, No. 62

# UAsH9O10

UAsH9O10 after structural relaxation (PBE-GGA, the Materials Project database).

Lattice parameters (Å, degrees): 7.1665 7.2376 17.7237 89.99 89.82 89.92
Closest atoms and distances in Å follow each position.
Sites, in units of the cell vectors:
U 0.7484 0.2523 0.5541  2 O 1.81
U 0.2516 0.7477 0.4459  2 O 1.81
U 0.2487 0.7515 0.9454  2 O 1.81
U 0.7513 0.2485 0.0546  2 O 1.81
As 0.2511 0.2502 0.4988  4 O 1.72
As 0.7489 0.7498 0.5012  4 O 1.72
As 0.2509 0.2489 0.9975  4 O 1.72-1.73
As 0.7491 0.7511 0.0025  4 O 1.72-1.73
H 0.0481 0.7305 0.6883  1 O 0.99
H 0.9519 0.2695 0.3117  1 O 0.99
H 0.9484 0.2350 0.8119  1 O 0.99
H 0.0516 0.7650 0.1881  1 O 0.99
H 0.3676 0.5847 0.6895  1 O 1.03
H 0.6324 0.4153 0.3105  1 O 1.03
H 0.6219 0.0938 0.8093  1 O 1.02
H 0.3781 0.9062 0.1907  1 O 1.02
H 0.1951 0.0011 0.6976  1 O 1.00
H 0.8049 0.9989 0.3024  1 O 1.00
H 0.8013 0.4961 0.8053  1 O 1.00
H 0.1987 0.5039 0.1947  1 O 1.00
H 0.9252 0.8768 0.6442  1 O 0.99
H 0.0748 0.1232 0.3558  1 O 0.99
H 0.0574 0.3868 0.8604  1 O 0.99
H 0.9426 0.6132 0.1396  1 O 0.99
H 0.5659 0.6212 0.6411  1 O 1.00
H 0.4341 0.3788 0.3589  1 O 1.00
H 0.4261 0.1224 0.8588  1 O 1.00
H 0.5739 0.8776 0.1412  1 O 1.00
H 0.3476 0.1218 0.6501  1 O 0.99
H 0.6524 0.8782 0.3499  1 O 0.99
H 0.6457 0.6168 0.8497  1 O 0.98
H 0.3543 0.3832 0.1503  1 O 0.98
H 0.1355 0.4369 0.6438  1 O 0.99
H 0.8645 0.5631 0.3562  1 O 0.99
H 0.8575 0.9403 0.8588  1 O 0.99
H 0.1425 0.0597 0.1412  1 O 0.99
H 0.5832 0.6089 0.7385  1 O 1.09
H 0.4168 0.3911 0.2615  1 O 1.09
H 0.4036 0.1195 0.7601  1 O 1.11
H 0.5964 0.8805 0.2399  1 O 1.11
H 0.1149 0.4414 0.7336  1 O 1.00
H 0.8851 0.5586 0.2664  1 O 1.00
H 0.8791 0.9398 0.7699  1 O 1.00
H 0.1209 0.0602 0.2301  1 O 1.00
O 0.7497 0.2535 0.6565  1 U 1.81
O 0.2503 0.7465 0.3435  1 U 1.81
O 0.2492 0.7481 0.8434  1 U 1.81
O 0.7508 0.2519 0.1566  1 U 1.81
O 0.2540 0.7426 0.5481  1 U 1.81
O 0.7460 0.2574 0.4519  1 U 1.81
O 0.7460 0.2431 0.9523  1 U 1.81
O 0.2540 0.7569 0.0477  1 U 1.81
O 0.7954 0.9363 0.5579  1 As 1.72, 1 H 1.84
O 0.2046 0.0637 0.4421  1 As 1.72, 1 H 1.84
O 0.1934 0.4360 0.9427  1 As 1.72, 1 H 1.79
O 0.8066 0.5640 0.0573  1 As 1.72, 1 H 1.79
O 0.6929 0.5701 0.5610  1 As 1.72, 1 H 1.72
O 0.3071 0.4299 0.4390  1 As 1.72, 1 H 1.72
O 0.3035 0.0701 0.9367  1 H 1.68, 1 As 1.73
O 0.6965 0.9299 0.0633  1 H 1.68, 1 As 1.73
O 0.4308 0.2050 0.5603  1 As 1.72, 1 H 1.80
O 0.5692 0.7950 0.4397  1 As 1.72, 1 H 1.80
O 0.5656 0.7020 0.9435  1 As 1.72, 1 H 1.86
O 0.4344 0.2980 0.0565  1 As 1.72, 1 H 1.86
O 0.0647 0.3061 0.5555  1 As 1.72, 1 H 1.90
O 0.9353 0.6939 0.4445  1 As 1.72, 1 H 1.90
O 0.9311 0.8106 0.9439  1 As 1.72, 1 H 1.85
O 0.0689 0.1894 0.0561  1 As 1.72, 1 H 1.85
O 0.9988 0.8590 0.6908  2 H 0.99
O 0.0012 0.1410 0.3092  2 H 0.99
O 0.9940 0.3648 0.8114  2 H 0.99
O 0.0060 0.6352 0.1886  2 H 0.99
O 0.4979 0.6449 0.6895  3 H 1.00-1.09
O 0.5021 0.3551 0.3105  3 H 1.00-1.09
O 0.4913 0.1512 0.8099  3 H 1.00-1.11
O 0.5087 0.8488 0.1901  3 H 1.00-1.11
O 0.2914 0.1008 0.7004  2 H 0.99-1.00
O 0.7086 0.8992 0.2996  2 H 0.99-1.00
O 0.6930 0.5831 0.7995  2 H 0.98-1.00
O 0.3070 0.4169 0.2005  2 H 0.98-1.00
O 0.1626 0.5123 0.6888  2 H 0.99-1.00
O 0.8374 0.4877 0.3112  2 H 0.99-1.00
O 0.8313 0.0149 0.8133  2 H 0.99-1.00
O 0.1687 0.9851 0.1867  2 H 0.99-1.00

Computed properties:
Crystal system ... triclinic
Total moment ... 0.01 Bohr magnetons per cell
Symmetry ... P-1, No. 2

# BiBr3

BiBr3 after structural relaxation (PBE-GGA, the Materials Project database).

Lattice parameters (Å, degrees): 7.3745 7.3745 7.5289 80.24 80.24 119.47
Closest atoms and distances in Å follow each position.
Sites, in units of the cell vectors:
Bi 0.8310 0.1690 0.0000  6 Br 2.90-2.91
Bi 0.1690 0.8310 0.0000  6 Br 2.90-2.91
Br 0.9557 0.5879 0.7549  2 Bi 2.90-2.91
Br 0.4121 0.0443 0.2451  2 Bi 2.90-2.91
Br 0.5879 0.9557 0.7549  2 Bi 2.90-2.91
Br 0.0443 0.4121 0.2451  2 Bi 2.90-2.91
Br 0.2296 0.2296 0.7796  2 Bi 2.90
Br 0.7704 0.7704 0.2204  2 Bi 2.90

Computed properties:
Crystal system ... monoclinic
Symmetry ... C2/m, No. 12

# PI3

PI3 after structural relaxation (PBE-GGA, the Materials Project database).

Lattice parameters (Å, degrees): 7.4648 7.4648 8.4328 90.00 90.00 120.00
Closest atoms and distances in Å follow each position.
Sites, in units of the cell vectors:
P 0.6667 0.3333 0.6296  3 I 2.49
P 0.3333 0.6667 0.1296  3 I 2.49
I 0.3534 0.3091 0.5055  1 P 2.49
I 0.6466 0.6909 0.0055  1 P 2.49
I 0.3091 0.9557 0.0055  1 P 2.49
I 0.9557 0.6466 0.5055  1 P 2.49
I 0.6909 0.0443 0.5055  1 P 2.49
I 0.0443 0.3534 0.0055  1 P 2.49

Computed properties:
Crystal system ... hexagonal
Largest piezoelectric modulus ... 0.3 C/m2
Symmetry ... P6_3, No. 173

# Er6Al3Si

Er6Al3Si after structural relaxation (PBE-GGA, the Materials Project database).

Lattice parameters (Å, degrees): 11.0964 11.0964 11.0964 117.85 117.85 93.76
Closest atoms and distances in Å follow each position.
Sites, in units of the cell vectors:
Er 0.1686 0.6686 0.8371  5 Al 3.11-3.39
Er 0.8314 0.3314 0.1629  5 Al 3.11-3.39
Er 0.6686 0.8314 0.5000  5 Al 3.11-3.39
Er 0.3314 0.1686 0.5000  5 Al 3.11-3.39
Er 0.8311 0.6990 0.2613  2 Si 2.95-3.13, 4 Al 2.98-3.30
Er 0.1689 0.3010 0.7387  2 Si 2.95-3.13, 4 Al 2.98-3.30
Er 0.4377 0.5699 0.7387  2 Si 2.95-3.13, 4 Al 2.98-3.30
Er 0.6990 0.4377 0.8678  2 Si 2.95-3.13, 4 Al 2.98-3.30
Er 0.0623 0.8010 0.1322  2 Si 2.95-3.13, 4 Al 2.98-3.30
Er 0.5623 0.4301 0.2613  2 Si 2.95-3.13, 4 Al 2.98-3.30
Er 0.3010 0.5623 0.1322  2 Si 2.95-3.13, 4 Al 2.98-3.30
Er 0.9377 0.1990 0.8678  2 Si 2.95-3.13, 4 Al 2.98-3.30
Er 0.5699 0.8311 0.1322  2 Si 2.95-3.13, 4 Al 2.98-3.30
Er 0.6689 0.9301 0.8678  2 Si 2.95-3.13, 4 Al 2.98-3.30
Er 0.4301 0.1689 0.8678  2 Si 2.95-3.13, 4 Al 2.98-3.30
Er 0.3311 0.0699 0.1322  2 Si 2.95-3.13, 4 Al 2.98-3.30
Er 0.9301 0.0623 0.2613  2 Si 2.95-3.13, 4 Al 2.98-3.30
Er 0.0699 0.9377 0.7387  2 Si 2.95-3.13, 4 Al 2.98-3.30
Er 0.8010 0.6689 0.7387  2 Si 2.95-3.13, 4 Al 2.98-3.30
Er 0.1990 0.3311 0.2613  2 Si 2.95-3.13, 4 Al 2.98-3.30
Er 0.1466 0.6466 0.5000  4 Al 2.98-3.00, 1 Er 3.14
Er 0.8534 0.3534 0.5000  4 Al 2.98-3.00, 1 Er 3.14
Er 0.6466 0.1466 0.5000  4 Al 2.98-3.00, 1 Er 3.14
Er 0.3534 0.8534 0.5000  4 Al 2.98-3.00, 1 Er 3.14
Al 0.6222 0.1222 0.7445  6 Er 2.98
Al 0.3778 0.8778 0.2555  6 Er 2.98
Al 0.1222 0.3778 0.5000  6 Er 2.98
Al 0.8778 0.6222 0.5000  6 Er 2.98
Al 0.3817 0.8817 0.8538  1 Al 2.74, 1 Er 3.00
Al 0.6183 0.1183 0.1462  1 Al 2.74, 1 Er 3.00
Al 0.0279 0.5279 0.1462  1 Al 2.74, 1 Er 3.00
Al 0.8817 0.0279 0.5000  1 Al 2.74, 1 Er 3.00
Al 0.4721 0.6183 0.5000  1 Al 2.74, 1 Er 3.00
Al 0.9721 0.4721 0.8538  1 Al 2.74, 1 Er 3.00
Al 0.1183 0.9721 0.5000  1 Al 2.74, 1 Er 3.00
Al 0.5279 0.3817 0.5000  1 Al 2.74, 1 Er 3.00
Si 0.5000 0.5000 0.0000  8 Er 3.13
Si 0.0000 0.0000 0.0000  8 Er 3.13
Si 0.7500 0.7500 0.0000  8 Er 2.95
Si 0.2500 0.2500 0.0000  8 Er 2.95

Computed properties:
Crystal system ... tetragonal
Total moment ... 0.00 Bohr magnetons per cell
Symmetry ... I4/mcm, No. 140

# PrInAu

PrInAu after structural relaxation (PBE-GGA, the Materials Project database).

Lattice parameters (Å, degrees): 4.2858 7.8321 7.8321 120.00 90.00 90.00
Closest atoms and distances in Å follow each position.
Sites, in units of the cell vectors:
Pr 0.5000 0.4139 0.0000  5 Au 3.19-3.24, 6 In 3.40-3.55
Pr 0.5000 0.0000 0.4139  5 Au 3.19-3.24, 6 In 3.40-3.55
Pr 0.5000 0.5861 0.5861  5 Au 3.19-3.24, 6 In 3.40-3.55
In 0.0000 0.7510 0.0000  4 Au 2.90-3.00
In 0.0000 0.0000 0.7510  4 Au 2.90-3.00
In 0.0000 0.2490 0.2490  4 Au 2.90-3.00
Au 0.5000 0.0000 0.0000  6 In 2.90, 3 Pr 3.24
Au 0.0000 0.6667 0.3333  3 In 3.00, 6 Pr 3.19
Au 0.0000 0.3333 0.6667  3 In 3.00, 6 Pr 3.19

Computed properties:
Crystal system ... hexagonal
Symmetry ... P-62m, No. 189

no.,formation energy (meV per atom),V (Å³/f.u.)
1,-996,67.0
2,-1787,229.8
3,-1170,167.8
4,-342,203.5
5,-398,248.8
6,-722,75.9